# Lu2Zr2O7 | the Materials Project | meta-GGA r2SCAN | relaxed
data_Lu2Zr2O7
_chemical_formula_sum 'Lu16 Zr16 O56'
_cell_length_a 10.3475
_cell_length_b 10.3475
_cell_length_c 10.3475
_cell_angle_alpha 90.00
_cell_angle_beta 90.00
_cell_angle_gamma 90.00
_symmetry_space_group_name_H-M 'P 1'
_symmetry_Int_Tables_number 1
_symmetry_space_group_name_Hall 'P 1'
loop_
_atom_site_label
_atom_site_fract_x
_atom_site_fract_y
_atom_site_fract_z
_atom_site_occupancy
Lu1 0.3750 0.8750 0.1250 1
Lu2 0.6250 0.6250 0.6250 1
Lu3 0.1250 0.3750 0.8750 1
Lu4 0.8750 0.1250 0.3750 1
Lu5 0.8750 0.3750 0.1250 1
Lu6 0.1250 0.8750 0.3750 1
Lu7 0.3750 0.1250 0.8750 1
Lu8 0.3750 0.3750 0.6250 1
Lu9 0.6250 0.1250 0.1250 1
Lu10 0.8750 0.6250 0.8750 1
Lu11 0.8750 0.8750 0.6250 1
Lu12 0.3750 0.6250 0.3750 1
Lu13 0.1250 0.6250 0.1250 1
Lu14 0.6250 0.3750 0.3750 1
Lu15 0.6250 0.8750 0.8750 1
Lu16 0.1250 0.1250 0.6250 1
Zr1 0.8750 0.8750 0.1250 1
Zr2 0.1250 0.6250 0.6250 1
Zr3 0.6250 0.3750 0.8750 1
Zr4 0.3750 0.1250 0.3750 1
Zr5 0.1250 0.8750 0.8750 1
Zr6 0.6250 0.1250 0.6250 1
Zr7 0.8750 0.6250 0.3750 1
Zr8 0.3750 0.3750 0.1250 1
Zr9 0.8750 0.1250 0.8750 1
Zr10 0.6250 0.6250 0.1250 1
Zr11 0.3750 0.8750 0.6250 1
Zr12 0.1250 0.3750 0.3750 1
Zr13 0.6250 0.8750 0.3750 1
Zr14 0.3750 0.6250 0.8750 1
Zr15 0.8750 0.3750 0.6250 1
Zr16 0.1250 0.1250 0.1250 1
O1 0.2500 0.7500 0.2500 1
O2 0.7500 0.7500 0.7500 1
O3 0.2500 0.2500 0.7500 1
O4 0.7500 0.2500 0.2500 1
O5 0.5000 0.5000 0.5000 1
O6 0.5000 0.0000 0.0000 1
O7 0.0000 0.5000 0.0000 1
O8 0.0000 0.0000 0.5000 1
O9 0.2500 0.0304 0.2500 1
O10 0.7500 0.4696 0.7500 1
O11 0.2500 0.5304 0.7500 1
O12 0.7500 0.9696 0.2500 1
O13 0.2500 0.2500 0.0304 1
O14 0.7500 0.7500 0.4696 1
O15 0.7500 0.2500 0.5304 1
O16 0.2500 0.7500 0.9696 1
O17 0.0304 0.2500 0.2500 1
O18 0.4696 0.7500 0.7500 1
O19 0.5304 0.7500 0.2500 1
O20 0.9696 0.2500 0.7500 1
O21 0.7804 0.5000 0.5000 1
O22 0.2196 0.0000 0.0000 1
O23 0.2804 0.5000 0.0000 1
O24 0.7196 0.0000 0.5000 1
O25 0.0000 0.5000 0.7196 1
O26 0.5000 0.0000 0.2804 1
O27 0.0000 0.0000 0.2196 1
O28 0.5000 0.5000 0.7804 1
O29 0.0000 0.2804 0.5000 1
O30 0.5000 0.7196 0.0000 1
O31 0.5000 0.7804 0.5000 1
O32 0.0000 0.2196 0.0000 1
O33 0.0000 0.7196 0.5000 1
O34 0.5000 0.2804 0.0000 1
O35 0.5000 0.0000 0.7196 1
O36 0.0000 0.5000 0.2804 1
O37 0.7196 0.5000 0.0000 1
O38 0.2804 0.0000 0.5000 1
O39 0.9696 0.7500 0.2500 1
O40 0.5304 0.2500 0.7500 1
O41 0.2500 0.7500 0.5304 1
O42 0.7500 0.2500 0.9696 1
O43 0.2500 0.9696 0.7500 1
O44 0.7500 0.5304 0.2500 1
O45 0.7500 0.7500 0.0304 1
O46 0.2500 0.2500 0.4696 1
O47 0.0304 0.7500 0.7500 1
O48 0.4696 0.2500 0.2500 1
O49 0.7804 0.0000 0.0000 1
O50 0.2196 0.5000 0.5000 1
O51 0.0000 0.7804 0.0000 1
O52 0.5000 0.2196 0.5000 1
O53 0.5000 0.5000 0.2196 1
O54 0.0000 0.0000 0.7804 1
O55 0.2500 0.4696 0.2500 1
O56 0.7500 0.0304 0.7500 1
# V: 12.6 A^3/atom
# formation enthalpy at 0 K: -3.798 eV/atom
# uncorrected energy: -1.37135 Ry per atom